1.
Below is a relaxed Ni3S2 crystal, with properties calculated at the PBE level.

abc: 4.303 5.578 5.570
angles: 90.00 91.13 90.00
Space group C2 (No. 5)
One atom of each set of equivalent atoms:
Ni (0.000, 0.000, 0.000)
Ni (0.241, 0.387, 0.383)
S (0.229, 0.267, 0.760)

Energy of formation from the pure elements ... -41.5 kJ per mole of atoms
Volume ... 133.7 Å³ per cell
Spin magnetization ... 0.01 μB per cell



2.
Below is a relaxed Ni9Sn2S2 crystal, with properties calculated at the PBE level.

abc: 3.711 3.711 25.161
angles: 90.00 90.00 90.00
Space group I-4m2 (No. 119)
One atom of each set of equivalent atoms:
Ni (0.000, 0.000, 0.000)
Ni (0.000, 0.000, 0.101)
Ni (0.000, 0.000, 0.250)
Ni (0.000, 0.000, 0.400)
Ni (0.000, 0.500, 0.678)
Sn (0.000, 0.500, 0.175)
S (0.000, 0.500, 0.551)

Energy of formation from the pure elements ... -31.8 kJ per mole of atoms
Volume ... 346.6 Å³ per cell
Spin magnetization ... 0.01 μB per cell



3.
Below is a relaxed Ni3Sn2S2 crystal, with properties calculated at the PBE level.

abc: 5.5394 5.5394 13.1900
angles: 90.00 90.00 120.00
Space group R-3m (No. 166, hexagonal axes)
One atom of each set of equivalent atoms:
Ni (0.0000, 0.5000, 0.0000)
Sn (0.0000, 0.0000, 0.0000)
Sn (0.0000, 0.0000, 0.5000)
S (0.0000, 0.0000, 0.2206)

Energy of formation from the pure elements ... -50.4 kJ per mole of atoms
Volume ... 350.5 Å³ per cell